Computed, not measured: a relaxed structure of K2HgAsCl6 at the PBE level of DFT.

Output
Formation enthalpy at 0 K: -1451 meV per atom
Spin magnetization: 0.049 μB/f.u.

Unit cell a=7.5493 b=7.5493 c=7.5493 alpha=60.00 beta=60.00 gamma=60.00
Fractional coordinates of all 10 atoms:
K 0.2500 0.2500 0.2500
K 0.7500 0.7500 0.7500
Hg 0.0000 0.0000 0.0000
As 0.5000 0.5000 0.5000
Cl 0.2646 0.2646 0.7354
Cl 0.2646 0.7354 0.2646
Cl 0.2646 0.7354 0.7354
Cl 0.7354 0.2646 0.2646
Cl 0.7354 0.2646 0.7354
Cl 0.7354 0.7354 0.2646

***

Computed, not measured: a relaxed structure of Mg2Al2SiO9 at the PBE level of DFT.

Output
Formation enthalpy at 0 K: -2551 meV per atom
E above lowest polymorph: 1 kJ/mol of formula units
Spin magnetization: 4.001 μB/f.u.

Unit cell a=5.4575 b=5.4619 c=14.3921 alpha=90.20 beta=100.79 gamma=118.76
Fractional coordinates of all 28 atoms:
Mg 0.0000 0.0000 0.0000
Mg 0.0289 0.1742 0.5004
Mg 0.3468 0.6600 0.9999
Mg 0.6798 0.5119 0.5002
Al 0.3386 0.8224 0.5078
Al 0.4857 0.5760 0.7059
Al 0.6968 0.3548 0.0078
Al 0.8154 0.7338 0.2061
Si 0.1449 0.4018 0.2059
Si 0.1554 0.9054 0.7063
O 0.0007 0.5110 0.4459
O 0.0362 0.5953 0.2516
O 0.0550 0.3718 0.0861
O 0.0867 0.8579 0.5865
O 0.3227 0.7418 0.7515
O 0.3315 0.2952 0.9474
O 0.3332 0.1248 0.4488
O 0.3522 0.2391 0.7402
O 0.3909 0.5478 0.5785
O 0.4321 0.0659 0.0670
O 0.4903 0.5556 0.2405
O 0.6283 0.0148 0.9494
O 0.6275 0.8438 0.4485
O 0.6838 0.1511 0.5668
O 0.7412 0.6766 0.0785
O 0.8564 0.7761 0.7412
O 0.9557 0.6284 0.9467
O 0.9940 0.0936 0.2412